(1)
The following is a DFT calculation (GGA-PBE) of crystalline TbAl3 at its relaxed geometry.

```
4
Lattice="4.2716 0.0000 0.0000 0.0000 4.2716 0.0000 0.0000 0.0000 4.2716" Properties=species:S:1:pos:R:3 pbc="T T T"
Tb 0.0000 0.0000 0.0000
Al 0.0000 2.1358 2.1358
Al 2.1358 0.0000 2.1358
Al 2.1358 2.1358 0.0000
```

---

(2)
The following is a DFT calculation (GGA-PBE) of crystalline TbAl3 at its relaxed geometry.

```
8
Lattice="6.2988 0.0000 0.0000 -3.1494 5.4549 0.0000 0.0000 0.0000 4.6229" Properties=species:S:1:pos:R:3 pbc="T T T"
Tb 0.0000 3.6366 1.1557
Tb 3.1494 1.8183 3.4672
Al 0.0000 1.5954 3.4672
Al -1.7678 4.6573 3.4672
Al 1.3816 0.7977 1.1557
Al 1.7678 4.6573 3.4672
Al 4.9172 0.7977 1.1557
Al 3.1494 3.8596 1.1557
```

---

(3)
The following is a DFT calculation (GGA-PBE) of crystalline TbAl3 at its relaxed geometry.

```
12
Lattice="3.1044 1.7923 7.0704 -3.1044 1.7923 7.0704 0.0000 -3.5846 7.0704" Properties=species:S:1:pos:R:3 pbc="T T T"
Tb 0.0000 0.0000 0.0000
Tb 0.0000 0.0000 4.6249
Tb 0.0000 0.0000 16.5863
Al -1.5522 -0.8962 7.0704
Al -1.3639 -0.7874 11.8011
Al 0.0000 -1.5749 9.4102
Al -1.3639 0.7874 9.4102
Al -1.5522 0.8962 14.1408
Al 0.0000 1.7923 7.0704
Al 1.3639 -0.7875 11.8011
Al 0.0000 1.5749 11.8011
Al 1.3639 0.7875 9.4102
```

---

(4)
The following is a DFT calculation (GGA-PBE) of crystalline Tb2Al at its relaxed geometry.

```
12
Lattice="6.5733 0.0000 0.0000 0.0000 5.1336 0.0000 0.0000 0.0000 9.4412" Properties=species:S:1:pos:R:3 pbc="T T T"
Tb 0.1805 1.2834 1.9757
Tb 1.2666 1.2834 5.4001
Tb 2.0201 3.8502 0.6795
Tb 3.1061 3.8502 6.6963
Tb 3.4672 1.2834 2.7448
Tb 4.5532 1.2834 8.7616
Tb 5.3067 3.8502 4.0411
Tb 6.3927 3.8502 7.4654
Al 1.3977 1.2834 8.4637
Al 1.8889 3.8502 3.7431
Al 4.6844 1.2834 5.6981
Al 5.1755 3.8502 0.9775
```

---

(5)
The following is a DFT calculation (GGA-PBE) of crystalline Tb2Al17 at its relaxed geometry.

```
38
Lattice="9.4765 0.0000 0.0000 -4.7382 8.2069 0.0000 0.0000 0.0000 8.8767" Properties=species:S:1:pos:R:3 pbc="T T T"
Tb 0.0000 0.0000 2.2192
Tb 0.0000 0.0000 6.6575
Tb 0.0000 5.4712 2.2192
Tb 4.7382 2.7356 6.6575
Al -2.3691 4.1034 0.0000
Al -2.3691 4.1034 4.4384
Al -1.3781 2.9900 6.6575
Al -2.8378 5.5184 6.6575
Al 0.0000 2.6810 0.2360
Al 0.0000 2.6810 4.2023
Al -2.4164 6.8663 0.2360
Al -2.4164 6.8663 4.2023
Al 2.3218 1.3405 4.6744
Al 2.3218 1.3405 8.6407
Al 1.3781 2.9900 6.6575
Al -1.4598 7.9053 6.6575
Al 0.0000 5.4712 5.3381
Al 0.0000 5.4712 7.9770
Al 3.2785 0.3016 2.2192
Al 1.9004 2.6885 2.2192
Al 4.7382 0.0000 0.0000
Al 4.7382 0.0000 4.4384
Al 2.3691 4.1034 0.0000
Al 2.3691 4.1034 4.4384
Al 2.8378 5.5184 6.6575
Al 1.4598 7.9053 6.6575
Al 4.7382 2.7356 0.8997
Al 4.7382 2.7356 3.5386
Al 6.1980 0.3016 2.2192
Al 3.3601 5.2168 2.2192
Al 2.4164 6.8663 0.2360
Al 2.4164 6.8663 4.2023
Al 7.1546 1.3405 4.6744
Al 7.1546 1.3405 8.6407
Al 4.7382 5.5258 4.6744
Al 4.7382 5.5258 8.6407
Al 7.5761 2.6885 2.2192
Al 6.1163 5.2168 2.2192
```

Computed properties:
Size of the total moment ... 0.0 μB/f.u.

---

(6)
The following is a DFT calculation (GGA-PBE) of crystalline Tb6Al43V4 at its relaxed geometry.

```
106
Lattice="11.0049 0.0000 0.0000 -5.5024 9.5305 0.0000 0.0000 0.0000 17.6846" Properties=species:S:1:pos:R:3 pbc="T T T"
Tb -2.5897 4.4854 1.6903
Tb -2.5897 4.4854 7.1520
Tb -2.9128 5.0451 10.5326
Tb -2.9128 5.0451 15.9943
Tb 5.1793 0.0000 1.6903
Tb 5.1793 0.0000 7.1520
Tb 2.5897 4.4854 10.5326
Tb 2.5897 4.4854 15.9943
Tb 5.8255 0.0000 10.5326
Tb 5.8255 0.0000 15.9943
Tb 2.9128 5.0451 1.6903
Tb 2.9128 5.0451 7.1520
Al -0.7978 1.3819 13.2635
Al -0.8564 1.4832 2.0472
Al -0.8564 1.4832 6.7951
Al -1.3894 2.4065 9.3668
Al -1.3894 2.4065 17.1602
Al -4.1130 7.1240 0.5245
Al -4.1130 7.1240 8.3178
Al -4.6461 8.0473 10.8895
Al -4.6461 8.0473 15.6375
Al -4.7046 8.1486 4.4212
Al 1.5957 0.0000 13.2635
Al 0.7978 1.3819 4.4212
Al -1.4132 5.2285 4.4212
Al -1.6810 5.6924 13.2635
Al 1.7127 0.0000 2.0472
Al 1.7127 0.0000 6.7951
Al 0.8564 1.4832 10.8895
Al 0.8564 1.4832 15.6375
Al -0.4278 3.7328 11.7776
Al -0.4278 3.7328 14.7493
Al -2.4836 7.2937 2.9353
Al -2.4836 7.2937 5.9070
Al 0.4278 3.7328 2.9353
Al 0.4278 3.7328 5.9070
Al -2.0559 8.0346 11.7776
Al -2.0559 8.0346 14.7493
Al 0.0000 4.7087 0.0000
Al 0.0000 4.7087 8.8423
Al -1.4246 7.1762 0.0000
Al -1.4246 7.1762 8.8423
Al 2.7788 0.0000 9.3668
Al 2.7788 0.0000 17.1602
Al 1.3894 2.4065 0.5245
Al 1.3894 2.4065 8.3178
Al 0.0000 6.3537 2.2596
Al 0.0000 6.3537 6.5827
Al 0.0000 6.3537 11.1019
Al 0.0000 6.3537 15.4250
Al 3.4466 1.4959 11.7776
Al 3.4466 1.4959 14.7493
Al 3.0188 2.2369 2.9353
Al 3.0188 2.2369 5.9070
Al 1.4132 5.2285 13.2635
Al -0.2678 8.1401 4.4212
Al 1.6810 5.6924 4.4212
Al 0.2678 8.1401 13.2635
Al 4.0779 2.3544 0.0000
Al 4.0779 2.3544 8.8423
Al 1.4246 7.1762 0.0000
Al 1.4246 7.1762 8.8423
Al 5.2347 1.3904 4.4212
Al 3.8214 3.8382 13.2635
Al 5.7702 1.3904 13.2635
Al 4.0892 4.3020 4.4212
Al 2.4836 7.2937 11.7776
Al 2.4836 7.2937 14.7493
Al 2.0559 8.0346 2.9353
Al 2.0559 8.0346 5.9070
Al 5.5024 3.1768 2.2596
Al 5.5024 3.1768 6.5827
Al 5.5024 3.1768 11.1019
Al 5.5024 3.1768 15.4250
Al 8.2261 0.0000 0.5245
Al 8.2261 0.0000 8.3178
Al 4.1130 7.1240 9.3668
Al 4.1130 7.1240 17.1602
Al 6.9270 2.3544 0.0000
Al 6.9270 2.3544 8.8423
Al 5.5024 4.8218 0.0000
Al 5.5024 4.8218 8.8423
Al 7.5583 1.4959 2.9353
Al 7.5583 1.4959 5.9070
Al 5.0747 5.7977 11.7776
Al 5.0747 5.7977 14.7493
Al 7.9861 2.2369 11.7776
Al 7.9861 2.2369 14.7493
Al 5.9302 5.7977 2.9353
Al 5.9302 5.7977 5.9070
Al 9.2922 0.0000 10.8895
Al 9.2922 0.0000 15.6375
Al 4.6461 8.0473 2.0472
Al 4.6461 8.0473 6.7951
Al 7.1834 3.8382 4.4212
Al 6.9157 4.3020 13.2635
Al 9.4092 0.0000 4.4212
Al 4.7046 8.1486 13.2635
V 0.0000 0.0000 0.0000
V 0.0000 0.0000 8.8423
V -1.4798 2.5630 4.4212
V -4.0227 6.9675 13.2635
V 2.9595 0.0000 4.4212
V 1.4798 2.5630 13.2635
V 8.0454 0.0000 13.2635
V 4.0227 6.9675 4.4212
```

Computed properties:
Size of the total moment ... 0.1 μB/f.u.

---

(7)
The following is a DFT calculation (GGA-PBE) of crystalline Tb2ZrAl9 at its relaxed geometry.

```
12
Lattice="4.2232 0.0000 0.0000 0.0000 4.2232 0.0000 0.0000 0.0000 12.6299" Properties=species:S:1:pos:R:3 pbc="T T T"
Tb 0.0000 0.0000 2.1593
Tb 0.0000 0.0000 10.4707
Zr 0.0000 0.0000 6.3150
Al 0.0000 2.1116 0.0000
Al 0.0000 2.1116 4.3031
Al 0.0000 2.1116 8.3269
Al 2.1116 0.0000 0.0000
Al 2.1116 0.0000 4.3031
Al 2.1116 0.0000 8.3269
Al 2.1116 2.1116 2.1219
Al 2.1116 2.1116 6.3150
Al 2.1116 2.1116 10.5081
```

Computed properties:
Size of the total moment ... 0.0 μB/f.u.

---

(8)
The following is a DFT calculation (GGA-PBE) of crystalline AlTc2 at its relaxed geometry.

```
3
Lattice="-1.4959 1.4959 4.7746 1.4959 -1.4959 4.7746 1.4959 1.4959 -4.7746" Properties=species:S:1:pos:R:3 pbc="T T T"
Al 0.0000 0.0000 0.0000
Tc 0.0000 0.0000 3.1618
Tc 0.0000 0.0000 6.3874
```

---

(9)
The following is a DFT calculation (GGA-PBE) of crystalline Al12Tc at its relaxed geometry.

```
13
Lattice="-3.7663 3.7663 3.7663 3.7663 -3.7663 3.7663 3.7663 3.7663 -3.7663" Properties=species:S:1:pos:R:3 pbc="T T T"
Al 3.7663 2.3538 -1.4461
Al 2.3202 0.0000 1.4125
Al 5.2124 0.0000 1.4125
Al 1.4125 2.3202 0.0000
Al 2.3538 -1.4461 3.7663
Al 0.0000 1.4125 2.3202
Al 3.7663 2.3538 1.4461
Al 1.4125 5.2124 0.0000
Al 2.3538 1.4461 3.7663
Al -1.4461 3.7663 2.3538
Al 1.4461 3.7663 2.3538
Al 0.0000 1.4125 5.2124
Tc 0.0000 0.0000 0.0000
```

---

(10)
The following is a DFT calculation (GGA-PBE) of crystalline AlTc3 at its relaxed geometry.

```
8
Lattice="5.4176 0.0000 0.0000 -2.7088 4.6918 0.0000 0.0000 0.0000 4.5650" Properties=species:S:1:pos:R:3 pbc="T T T"
Al 0.0000 3.1279 1.1413
Al 2.7088 1.5639 3.4238
Tc 0.0000 1.6034 3.4238
Tc -1.3202 3.8901 3.4238
Tc 1.3886 0.8017 1.1413
Tc 1.3202 3.8901 3.4238
Tc 4.0290 0.8017 1.1413
Tc 2.7088 3.0883 1.1413
```

Computed properties:
Size of the total moment ... 0.0 μB/f.u.

---

(11)
The following is a DFT calculation (GGA-PBE) of crystalline Al3Tc at its relaxed geometry.

```
4
Lattice="-1.9165 1.9165 4.0387 1.9165 -1.9165 4.0387 1.9165 1.9165 -4.0387" Properties=species:S:1:pos:R:3 pbc="T T T"
Al 0.0000 0.0000 0.0000
Al 1.9165 0.0000 2.0194
Al 0.0000 1.9165 2.0194
Tc 0.0000 0.0000 4.0387
```

---

(12)
The following is a DFT calculation (GGA-PBE) of crystalline Al6Tc at its relaxed geometry.

```
14
Lattice="3.8181 -3.3029 0.0000 3.8181 3.3029 0.0000 0.0000 0.0000 9.0199" Properties=species:S:1:pos:R:3 pbc="T T T"
Al 2.4387 1.9208 2.2550
Al 3.8181 2.4212 5.4150
Al 3.8181 2.4212 8.1149
Al 2.4740 0.0000 0.0000
Al 2.4740 0.0000 4.5100
Al 5.1974 1.9208 2.2550
Al 2.4387 -1.9208 6.7650
Al 5.1621 0.0000 0.0000
Al 5.1621 0.0000 4.5100
Al 3.8181 -2.4212 0.9050
Al 3.8181 -2.4212 3.6049
Al 5.1974 -1.9208 6.7650
Tc 3.8181 0.2905 6.7650
Tc 3.8181 -0.2905 2.2550
```

---

(13)
The following is a DFT calculation (GGA-PBE) of crystalline Al2Te3 at its relaxed geometry.

```
10
Lattice="3.6618 2.1141 7.2001 -3.6618 2.1141 7.2001 0.0000 -4.2283 7.2001" Properties=species:S:1:pos:R:3 pbc="T T T"
Al 0.0000 0.0000 0.0000
Al -1.1825 -2.0654 11.8542
Al -1.1975 2.0568 11.8542
Al 2.3799 0.0087 11.8542
Te 0.0000 0.0000 3.4156
Te -1.0882 -2.0168 14.3897
Te 0.0000 0.0000 10.5348
Te -1.2025 1.9508 14.3897
Te 0.0000 0.0000 17.9469
Te 2.2907 0.0660 14.3897
```

Computed properties:
Size of the total moment ... 0.0 μB/f.u.

---

(14)
The following is a DFT calculation (GGA-PBE) of crystalline Al2Te3 at its relaxed geometry.

```
40
Lattice="7.2818 0.0000 0.0000 0.0000 13.1351 0.0000 -0.0143 0.0000 15.3250" Properties=species:S:1:pos:R:3 pbc="T T T"
Al 0.4992 0.8856 4.7685
Al 0.4921 5.6820 12.4310
Al 0.5703 9.8439 12.3776
Al 0.5774 9.8588 4.7152
Al 3.0563 1.1823 10.6848
Al 3.0635 5.3852 3.0223
Al 3.1358 1.2314 2.7917
Al 3.1287 5.3362 10.4541
Al 4.1389 7.7989 4.8708
Al 4.1318 11.9038 12.5333
Al 4.2041 7.7499 12.3027
Al 4.2112 11.9528 4.6402
Al 6.6901 3.2763 10.6098
Al 6.6972 3.2912 2.9473
Al 6.7755 7.4531 2.8939
Al 6.7684 12.2496 10.5564
Te 0.5491 1.0147 2.0770
Te 0.5419 5.5529 9.7395
Te 0.5907 9.6768 2.1484
Te 0.5836 10.0259 9.8109
Te 0.6621 1.2270 9.4051
Te 0.6692 5.3405 1.7426
Te 2.9762 9.7497 13.6232
Te 2.9833 9.9529 5.9608
Te 3.0233 0.9978 13.2550
Te 3.0304 5.5698 5.5925
Te 3.0823 1.1055 5.4831
Te 3.0752 5.4621 13.1456
Te 4.1923 7.6731 2.1794
Te 4.1852 12.0296 9.8419
Te 4.2371 7.5653 9.7324
Te 4.2442 12.1374 2.0700
Te 4.2842 3.1822 9.3642
Te 4.2913 3.3854 1.7017
Te 6.5984 7.7946 13.5823
Te 6.6055 11.9081 5.9199
Te 6.6839 3.1092 5.5141
Te 6.6768 3.4584 13.1766
Te 6.7256 7.5823 5.5855
Te 6.7185 12.1204 13.2480
```

---

(15)
The following is a DFT calculation (GGA-PBE) of crystalline Al2Te3 at its relaxed geometry.

```
10
Lattice="6.4910 -3.7004 0.0000 6.4910 3.7004 0.0000 -4.1248 0.0000 6.9581" Properties=species:S:1:pos:R:3 pbc="T T T"
Al 4.4285 3.2010 3.4791
Al 4.3512 0.7252 0.0593
Al 2.2888 -0.7252 3.5384
Al 6.4910 -3.2010 0.0000
Te 0.1856 0.7293 2.6836
Te -1.8768 -0.7293 6.1626
Te 4.5162 0.5919 2.7388
Te 2.4538 -0.5919 6.2179
Te 8.7701 0.5987 2.5531
Te 6.7077 -0.5987 6.0321
```

---

(16)
The following is a DFT calculation (GGA-PBE) of crystalline Al2ZnTe4 at its relaxed geometry.

```
7
Lattice="-3.0460 3.0460 5.9883 3.0460 -3.0460 5.9883 3.0460 3.0460 -5.9883" Properties=species:S:1:pos:R:3 pbc="T T T"
Al 0.0000 0.0000 0.0000
Al 0.0000 3.0460 2.9941
Zn 0.0000 0.0000 5.9883
Te 1.4324 1.5818 -1.5909
Te 4.5102 1.4324 1.5909
Te 1.6135 1.4642 4.3974
Te -1.4642 1.6135 7.5792
```

Computed properties:
Maximum piezoelectric response ... 0.06 C/m²

---

no.,final energy (eV per atom),formation energy (meV/atom)
1,-4.39,-422
2,-4.40,-436
3,-4.40,-433
4,-4.62,-282
5,-3.94,-100
6,-4.56,-315
7,-4.73,-432
8,-8.57,-414
9,-4.43,-175
10,-8.82,-113
11,-5.72,-319
12,-4.96,-272
13,-3.76,-625
14,-3.84,-704
15,-3.81,-678
16,-3.51,-705